32
Lattice="-2.4650 -4.8809 8.5517 3.7349 -8.7054 -3.8921 10.7398 2.5683 4.5615" Properties=species:S:1:pos:R:3 comment="Cs3SbS4, relaxed, DFT GGA-PBE" vol_a3_per_atom=38.81 space_group="No. 62" e_tot_ev_per_cell=-122.55 ef_mev_per_atom=-1160.9 pbc="T T T"
Cs 2.6350 -0.8525 2.0995
Cs 5.2473 -3.0586 6.3420
Cs 9.7060 -1.9924 8.2358
Cs 6.8131 -1.3950 1.7189
Cs 6.7624 -7.9594 2.8791
Cs 11.2717 -0.3288 3.6126
Cs 9.3872 -4.8816 4.1171
Cs 0.7380 -10.6893 5.6085
Cs 9.3747 -10.1655 7.1217
Cs 5.1966 -9.6230 7.5022
Cs 2.6225 -6.1364 5.1040
Cs 2.3037 -9.0256 0.9853
S 1.7068 -2.5116 5.2190
S 7.7675 -7.9100 9.6357
S -0.9800 -4.2578 7.3706
S 4.2422 -3.1080 -0.4146
S 6.6859 -6.4778 6.2186
S 2.5600 -3.4113 8.8742
S 12.9897 -6.7602 1.8505
S 1.7839 -5.3868 1.4990
S 7.0277 -4.1398 9.2549
S 10.3029 -8.5064 4.0021
S 10.2258 -5.6313 7.7221
S 5.3238 -4.5402 3.0025
S 9.4497 -7.6068 0.3469
S 3.7527 -9.3261 4.2387
S 4.9820 -6.8783 -0.0338
S 8.2570 -1.6919 4.9824
Sb 7.4492 0.4162 5.6972
Sb 4.0697 -4.9772 1.0438
Sb 7.9400 -6.0408 8.1773
Sb 4.5605 -11.4342 3.5239



32
Lattice="-4.0990 -12.2859 8.5259 2.2270 -3.7477 -4.3298 11.1182 -1.9863 2.4830" Properties=species:S:1:pos:R:3 comment="CsSbS6, relaxed, DFT GGA-PBE" vol_a3_per_atom=32.82 space_group="No. 14" e_tot_ev_per_cell=-131.22 ef_mev_per_atom=-747.4 pbc="T T T"
S -0.1084 -11.2682 2.7731
S 9.3546 -6.7517 3.9060
S 3.8423 -13.6463 8.4296
S 6.9070 -13.8574 5.3595
S 5.2050 -5.3114 0.0713
S -0.9866 -10.1231 4.2612
S 4.0412 -12.7085 6.6077
S 1.5971 -12.1175 3.5998
S 9.4815 -9.8073 2.5726
S 6.6326 -11.5437 2.5181
S 9.6805 -2.9502 2.2664
S 2.3392 -4.1625 1.3196
S 7.6966 -15.1407 6.7611
S 10.2329 -7.8968 2.4179
S 5.4040 -4.3735 -1.7505
S 7.6492 -5.9023 3.0793
S -0.4342 -15.0697 4.4127
S 3.2213 -10.8991 3.2652
S 2.6137 -6.4762 4.1609
S -0.2353 -8.2126 4.1065
S 4.8438 -14.0804 5.2770
S 1.5497 -2.8792 -0.0820
S 6.0250 -7.1208 3.4138
S 4.4025 -3.9395 1.4021
Cs 7.2409 -9.9068 5.6922
Cs 0.3261 -12.9772 7.2706
Cs 2.0054 -8.1131 0.9869
Cs 8.9202 -5.0427 -0.5915
Sb 2.9349 -4.7362 -2.8869
Sb 7.1791 -9.6704 1.0896
Sb 6.3114 -13.2837 9.5659
Sb 2.0672 -8.3495 5.5895



28
Lattice="10.4815 0.0000 0.0000 0.0000 10.4815 0.0000 0.0000 0.0000 10.4815" Properties=species:S:1:pos:R:3 comment="Cs3SbS3, relaxed, DFT GGA-PBE" vol_a3_per_atom=41.13 piezo_max_c_m2=0.10 space_group="No. 198" e_tot_ev_per_cell=-104.10 ef_mev_per_atom=-1187.0 pbc="T T T"
Cs 9.8735 5.8488 4.6327
Cs 3.3595 7.1220 1.8813
Cs 7.1220 1.8813 3.3595
Cs 1.8813 3.3595 7.1220
Cs 4.6327 9.8735 5.8488
Cs 5.8488 4.6327 9.8735
Cs 4.6179 0.6229 9.8586
Cs 8.6002 8.6002 8.6002
Cs 0.6229 9.8586 4.6179
Cs 9.8586 4.6179 0.6229
Cs 5.8636 5.8636 5.8636
Cs 0.6080 0.6080 0.6080
S 0.5324 2.7081 3.5823
S 7.7734 8.8231 4.7083
S 5.7732 2.5326 6.8992
S 7.9489 1.6584 9.9491
S 3.5823 0.5324 2.7081
S 6.8992 5.7732 2.5326
S 9.9491 7.9489 1.6584
S 2.5326 6.8992 5.7732
S 2.7081 3.5823 0.5324
S 4.7083 7.7734 8.8231
S 8.8231 4.7083 7.7734
S 1.6584 9.9491 7.9489
Sb 7.5951 8.1272 2.3543
Sb 8.1272 2.3543 7.5951
Sb 2.8864 2.8864 2.8864
Sb 2.3543 7.5951 8.1272



46
Lattice="8.5442 0.0000 0.0000 3.4022 11.1742 0.0000 3.5111 0.2547 15.3043" Properties=species:S:1:pos:R:3 comment="Cs2Sb8S13, relaxed, DFT GGA-PBE" vol_a3_per_atom=31.76 space_group="No. 2" e_tot_ev_per_cell=-196.92 ef_mev_per_atom=-713.2 pbc="T T T"
Sb 5.2443 7.7288 12.4777
Sb 10.2132 3.7001 2.8266
Sb 8.4948 0.1972 9.0160
Sb 9.5076 7.0146 1.0055
Sb 12.3263 8.2648 6.9040
Sb 5.9498 4.4143 14.2988
Sb 3.1312 3.1641 8.4003
Sb 6.7491 11.0356 11.1089
Sb 9.1832 8.9764 4.1705
Sb 6.9627 11.2317 6.2884
Sb 9.0765 5.3664 6.3652
Sb 6.3810 6.0625 8.9391
Sb 6.2742 2.4525 11.1338
Sb 9.0751 8.8237 8.8185
Sb 8.7083 0.3933 4.1955
Sb 6.3824 2.6052 6.4858
S 4.6542 4.3956 6.8192
S 5.5202 10.0816 4.5364
S 6.9583 6.6773 13.9481
S 4.7225 1.3786 8.8262
S 7.7925 8.4165 2.0484
S 10.3845 1.8341 6.6856
S 10.4771 10.0222 10.5918
S 4.9804 1.4067 4.7125
S 7.8749 7.4282 10.5395
S 11.8754 7.4049 14.0772
S 3.5821 4.0240 1.2271
S 10.8032 7.0333 8.4852
S 7.9525 4.2183 8.6399
S 1.0941 1.4272 2.0382
S 7.6650 3.0124 13.2560
S 10.9570 9.9771 2.6687
S 5.0729 9.5948 8.6188
S 7.5050 7.2106 6.6645
S 14.3634 10.0017 13.2662
S 8.4991 4.7516 1.3562
S 5.1700 4.6514 11.0164
S 4.5005 1.4518 12.6357
S 10.7349 10.0503 6.4781
S 10.2874 6.7775 4.2879
S 9.9373 1.3473 10.7680
S 7.5825 4.0007 4.7649
Cs 10.1569 5.0612 11.6632
Cs 8.7999 9.8091 15.1615
Cs 5.3006 6.3677 3.6412
Cs 6.6576 1.6198 0.1429